The following is a DFT calculation (r2SCAN) of a relaxed SrMgPt crystal.

Values from the calculation:
DFT formation energy = -2.36 eV per formula unit
E = -292.64 eV for the cell shown

```
data_SrMgPt
_chemical_formula_sum 'Sr4 Mg4 Pt4'
_cell_length_a 7.5730
_cell_length_b 4.4434
_cell_length_c 8.5803
_cell_angle_alpha 90.00
_cell_angle_beta 90.00
_cell_angle_gamma 90.00
_space_group_name_H-M_alt 'P n m a'
_space_group_IT_number 62
_space_group_name_Hall '-P 2ac 2n'
loop_
_atom_site_label
_atom_site_type_symbol
_atom_site_fract_x
_atom_site_fract_y
_atom_site_fract_z
Sr1 Sr 0.0272 0.2500 0.1781
Mg1 Mg 0.1366 0.2500 0.5638
Pt1 Pt 0.2186 0.7500 0.3827
```